(1)
{"formula": "TmAlNi4", "functional": "meta-GGA r2SCAN", "state": "relaxed", "volume_a3_per_cell": 81.1, "sg": "No. 65", "delta_e_f_ev_per_fu": -3.1, "lattice": [[2.4640, -4.1426, 0.0000], [2.4640, 4.1426, 0.0000], [0.0000, 0.0000, 3.9738]], "species": ["Tm", "Al", "Ni", "Ni", "Ni", "Ni"], "frac_coords": [[0.0000, 0.0000, 0.0000], [0.5000, 0.5000, 0.5000], [0.0000, 0.5000, 0.5000], [0.3317, 0.6683, 0.0000], [0.5000, 0.0000, 0.5000], [0.6683, 0.3317, 0.0000]]}

***

(2)
{"formula": "TmAlNi", "functional": "meta-GGA r2SCAN", "state": "relaxed", "volume_a3_per_cell": 155.4, "sg": "No. 189", "delta_e_f_ev_per_fu": -1.9, "lattice": [[6.8276, 0.0000, 0.0000], [-3.4138, 5.9129, 0.0000], [0.0000, 0.0000, 3.8496]], "species": ["Tm", "Tm", "Tm", "Al", "Al", "Al", "Ni", "Ni", "Ni"], "frac_coords": [[0.0000, 0.4163, 0.0000], [0.4163, 0.0000, 0.0000], [0.5837, 0.5837, 0.0000], [0.0000, 0.7644, 0.5000], [0.2356, 0.2356, 0.5000], [0.7644, 0.0000, 0.5000], [0.0000, 0.0000, 0.0000], [0.3333, 0.6667, 0.5000], [0.6667, 0.3333, 0.5000]]}

***

(3)
{"formula": "Tm2AlNi2", "functional": "meta-GGA r2SCAN", "state": "relaxed", "volume_a3_per_cell": 88.9, "sg": "No. 71", "delta_e_f_ev_per_fu": -3.0, "lattice": [[-2.0629, 2.6539, 4.0583], [2.0629, -2.6539, 4.0583], [2.0629, 2.6539, -4.0583]], "species": ["Tm", "Tm", "Al", "Ni", "Ni"], "frac_coords": [[0.2027, 0.2027, 0.0000], [0.7973, 0.7973, 0.0000], [0.5000, 0.0000, 0.5000], [0.2329, 0.5000, 0.7329], [0.7671, 0.5000, 0.2671]]}

***

(4)
{"formula": "UAlNi4", "functional": "meta-GGA r2SCAN", "state": "relaxed", "volume_a3_per_cell": 79.0, "sg": "No. 216", "delta_e_f_ev_per_fu": -1.8, "lattice": [[0.0000, 3.4056, 3.4056], [3.4056, 0.0000, 3.4056], [3.4056, 3.4056, 0.0000]], "species": ["U", "Al", "Ni", "Ni", "Ni", "Ni"], "frac_coords": [[0.0000, 0.0000, 0.0000], [0.2500, 0.2500, 0.2500], [0.1291, 0.6236, 0.6236], [0.6236, 0.1291, 0.6236], [0.6236, 0.6236, 0.1291], [0.6236, 0.6236, 0.6236]]}

***

(5)
{"formula": "YAl3Ni2", "functional": "meta-GGA r2SCAN", "state": "relaxed", "volume_a3_per_cell": 281.9, "sg": "No. 191", "delta_e_f_ev_per_fu": -4.1, "lattice": [[8.9791, 0.0000, 0.0000], [-4.4896, 7.7762, 0.0000], [0.0000, 0.0000, 4.0367]], "species": ["Y", "Y", "Y", "Al", "Al", "Al", "Al", "Al", "Al", "Al", "Al", "Al", "Ni", "Ni", "Ni", "Ni", "Ni", "Ni"], "frac_coords": [[0.0000, 0.0000, 0.0000], [0.3333, 0.6667, 0.5000], [0.6667, 0.3333, 0.5000], [0.0000, 0.2967, 0.5000], [0.0000, 0.5000, 0.0000], [0.0000, 0.7033, 0.5000], [0.2967, 0.0000, 0.5000], [0.2967, 0.2967, 0.5000], [0.5000, 0.0000, 0.0000], [0.5000, 0.5000, 0.0000], [0.7033, 0.0000, 0.5000], [0.7033, 0.7033, 0.5000], [0.1812, 0.3623, 0.0000], [0.1812, 0.8188, 0.0000], [0.3623, 0.1812, 0.0000], [0.6377, 0.8188, 0.0000], [0.8188, 0.1812, 0.0000], [0.8188, 0.6377, 0.0000]]}

***

(6)
{"formula": "YAl2Ni", "functional": "meta-GGA r2SCAN", "state": "relaxed", "volume_a3_per_cell": 141.7, "sg": "No. 63", "delta_e_f_ev_per_fu": -2.7, "lattice": [[2.0092, -5.1461, 0.0000], [2.0092, 5.1461, 0.0000], [0.0000, 0.0000, 6.8503]], "species": ["Y", "Y", "Al", "Al", "Al", "Al", "Ni", "Ni"], "frac_coords": [[0.0592, 0.9408, 0.7500], [0.9408, 0.0592, 0.2500], [0.3381, 0.6619, 0.5557], [0.3381, 0.6619, 0.9443], [0.6619, 0.3381, 0.0557], [0.6619, 0.3381, 0.4443], [0.2162, 0.7838, 0.2500], [0.7838, 0.2162, 0.7500]]}

***

Copy entry 3 word for word.
{"formula": "Tm2AlNi2", "functional": "meta-GGA r2SCAN", "state": "relaxed", "volume_a3_per_cell": 88.9, "sg": "No. 71", "delta_e_f_ev_per_fu": -3.0, "lattice": [[-2.0629, 2.6539, 4.0583], [2.0629, -2.6539, 4.0583], [2.0629, 2.6539, -4.0583]], "species": ["Tm", "Tm", "Al", "Ni", "Ni"], "frac_coords": [[0.2027, 0.2027, 0.0000], [0.7973, 0.7973, 0.0000], [0.5000, 0.0000, 0.5000], [0.2329, 0.5000, 0.7329], [0.7671, 0.5000, 0.2671]]}